(1)
The following is a DFT calculation (PBE-GGA) of a geometry-optimized LiPm2Os structure.

Cell and atoms, written as CIF:
```
data_LiPm2Os
_cell_length_a 7.1097
_cell_length_b 7.1097
_cell_length_c 7.1097
_cell_angle_alpha 90.00
_cell_angle_beta 90.00
_cell_angle_gamma 90.00
_symmetry_space_group_name_H-M 'F m -3 m'
_symmetry_Int_Tables_number 225
_symmetry_space_group_name_Hall '-F 4 2 3'
loop_
_atom_site_label
_atom_site_fract_x
_atom_site_fract_y
_atom_site_fract_z
_atom_site_occupancy
Li1 0.0000 0.0000 0.0000 1
Pm1 0.2500 0.2500 0.2500 1
Os1 0.0000 0.0000 0.5000 1
```

***

(2)
# PBE-GGA TbCeO4, relaxed
data_TbCeO4
_cell_length_a 3.8645
_cell_length_b 3.8645
_cell_length_c 5.4707
_cell_angle_alpha 90.00
_cell_angle_beta 90.00
_cell_angle_gamma 90.00
_symmetry_space_group_name_H-M 'P 4/m m m'
_symmetry_Int_Tables_number 123
_symmetry_space_group_name_Hall '-P 4 2'
loop_
_atom_site_label
_atom_site_fract_x
_atom_site_fract_y
_atom_site_fract_z
_atom_site_occupancy
Tb1 0.0000 0.0000 0.0000 1
Ce1 0.5000 0.5000 0.5000 1
O1 0.0000 0.5000 0.2535 1
# Size of the total moment   0.166 μB/atom

***

(3)
The following is a DFT calculation (PBE-GGA) of a geometry-optimized GaPt2 structure.

Cell and atoms, written as CIF:
```
data_GaPt2
_cell_length_a 16.6888
_cell_length_b 3.9671
_cell_length_c 5.5759
_cell_angle_alpha 90.00
_cell_angle_beta 90.00
_cell_angle_gamma 90.00
_symmetry_space_group_name_H-M 'P m m a'
_symmetry_Int_Tables_number 51
loop_
_symmetry_equiv_pos_as_xyz
'x,y,z'
'-x,-y,-z'
'-x+1/2,-y,z'
'x+1/2,y,-z'
'x+1/2,-y,-z'
'-x+1/2,y,z'
'-x,y,-z'
'x,-y,z'
loop_
_atom_site_label
_atom_site_fract_x
_atom_site_fract_y
_atom_site_fract_z
_atom_site_occupancy
Ga1 0.0000 0.0000 0.0000 1
Ga2 0.0931 0.5000 0.3166 1
Ga3 0.2500 0.5000 0.7943 1
Pt1 0.0000 0.0000 0.5000 1
Pt2 0.0691 0.5000 0.7958 1
Pt3 0.1560 0.0000 0.0514 1
Pt4 0.1680 0.0000 0.5579 1
Pt5 0.2500 0.5000 0.2682 1
```

***

The formation enthalpy at 0 K results, record by record, are as follows: -0.115, -3.546, -0.533 eV per atom.